Record 1
Here is Li2MgB12H16O28 after structural relaxation from the Materials Project. Energies are from PBE.

Lattice parameters (Å, degrees): 6.9930 9.2715 9.5894 72.15 88.94 68.35
With the nearest neighbours (Å) after each atom.
Space group P-1 (No. 2)
Symmetry-distinct sites (fractional):
1 Li 0.2415 0.2651 0.2248  4 O 1.93-2.05
2 Mg 0.5000 0.0000 0.0000  4 O 2.02-2.08
3 B 0.0173 0.9528 0.3045  3 O 1.37-1.38
4 B 0.2471 0.7964 0.1526  4 O 1.46-1.52
5 B 0.2786 0.3051 0.5146  3 O 1.36-1.38
6 B 0.3626 0.3349 0.7518  4 O 1.46-1.53
7 B 0.3924 0.8960 0.3420  4 O 1.44-1.54
8 B 0.4522 0.5112 0.1738  3 O 1.37-1.39
9 H 0.0106 0.4459 0.3904  1 O 0.99
10 H 0.0744 0.6505 0.9798  1 O 0.98
11 H 0.1444 0.6010 0.8400  1 O 0.99
12 H 0.1567 0.9694 0.9422  1 O 0.99
13 H 0.1608 0.2263 0.8397  1 O 0.98
14 H 0.1888 0.9506 0.5712  1 O 0.99
15 H 0.4002 0.7224 0.8139  1 O 0.98
16 H 0.4311 0.9720 0.7305  1 O 0.99
17 O 0.0263 0.6729 0.8771  2 H 0.98-0.99
18 O 0.0421 0.8803 0.1954  2 B 1.38-1.48
19 O 0.1409 0.3528 0.3924  1 H 0.99
20 O 0.1808 0.9522 0.3815  2 B 1.37-1.46
21 O 0.1836 0.9733 0.6661  1 H 0.99
22 O 0.2280 0.3879 0.6163  2 B 1.38-1.46
23 O 0.2629 0.6384 0.1422  2 B 1.37-1.46
24 O 0.2820 0.9035 0.0135  1 H 0.99
25 O 0.2909 0.2288 0.8732  1 H 0.98
26 O 0.3685 0.4763 0.7857  2 B 1.37-1.46
27 O 0.4155 0.7657 0.2679  3 B 1.52-1.54
28 O 0.4341 0.0334 0.2326  1 H 0.99
29 O 0.4602 0.3628 0.1629  1 H 0.98
30 O 0.4619 0.1770 0.5280  2 B 1.36-1.44

## Properties
- Raw total energy: -390.3 eV for the cell shown
- Total moment: 0.004 μB/f.u.
- Volume: 9.27 Å³ per atom
- E_form: -2.222 eV per atom

=====

Record 2
Here is Li3MgZn5B15H60 after structural relaxation from the Materials Project. Energies are from PBE.

Lattice parameters (Å, degrees): 26.4985 16.1238 8.7557 90.00 90.00 90.00
With the nearest neighbours (Å) after each atom.
Space group Cmcm (No. 63)
Symmetry-distinct sites (fractional):
1 Li 0.0000 0.0030 0.2500  6 H 1.97-2.03
2 Li 0.1969 0.1901 0.2500  7 H 2.09-2.25
3 Mg 0.0000 0.3913 0.7500  8 H 2.06-2.14
4 Zn 0.0000 0.2835 0.2500  6 H 1.84-1.92
5 Zn 0.1460 0.1430 0.7500  6 H 1.86-1.90
6 Zn 0.1665 0.4974 0.2500  6 H 1.85-1.98
7 B 0.0000 0.1491 0.2500  4 H 1.21-1.26
8 B 0.0000 0.3452 0.0212  4 H 1.22-1.24
9 B 0.0743 0.0713 0.7500  4 H 1.22-1.25
10 B 0.0865 0.4437 0.7500  4 H 1.23
11 B 0.1672 0.3613 0.2500  4 H 1.21-1.26
12 B 0.1736 0.1741 0.5199  4 H 1.21-1.25
13 B 0.2301 0.4158 0.7500  4 H 1.21-1.26
14 H 0.0000 0.1108 0.1311  1 B 1.21
15 H 0.0000 0.2964 0.5864  1 B 1.23
16 H 0.0000 0.4190 0.5105  1 B 1.22
17 H 0.0403 0.1903 0.2500  1 B 1.26
18 H 0.0400 0.3337 0.0921  1 B 1.24
19 H 0.0496 0.4899 0.7500  1 B 1.23
20 H 0.0540 0.0505 0.6315  1 B 1.22
21 H 0.0745 0.1486 0.7500  1 B 1.25
22 H 0.0776 0.3690 0.7500  1 B 1.23
23 H 0.1094 0.4575 0.6301  1 B 1.23
24 H 0.1165 0.0373 0.7500  1 B 1.25
25 H 0.1301 0.3176 0.2500  1 B 1.21
26 H 0.1469 0.1483 0.0825  1 B 1.21
27 H 0.1482 0.2247 0.5965  1 B 1.25
28 H 0.1650 0.4036 0.1291  1 B 1.26
29 H 0.1894 0.1126 0.5934  1 B 1.25
30 H 0.2082 0.3279 0.2500  1 B 1.21
31 H 0.2114 0.2118 0.0161  1 B 1.21
32 H 0.2106 0.4430 0.6289  1 B 1.26
33 H 0.2230 0.3416 0.7500  1 B 1.21
34 H 0.2266 0.0597 0.2500  1 B 1.21

## Properties
- Raw total energy: -1314.9 eV for the cell shown
- Total moment: 0.000 μB/f.u.
- Volume: 11.13 Å³ per atom
- E_form: -0.263 eV per atom

=====

Record 3
Here is LiBH12N4 after structural relaxation from the Materials Project. Energies are from PBE.

Lattice parameters (Å, degrees): 12.0861 6.5816 7.8383 90.00 90.00 90.00
With the nearest neighbours (Å) after each atom.
Space group Pca2_1 (No. 29)
Symmetry-distinct sites (fractional):
1 Li 0.2408 0.0181 0.0000  4 N 2.06-2.14
2 B 0.0003 0.2948 0.7585  4 H 1.23-1.24
3 H 0.0011 0.1820 0.8839  1 B 1.23
4 H 0.0045 0.8058 0.1261  1 B 1.23
5 H 0.0808 0.5908 0.2655  1 B 1.24
6 H 0.0839 0.0844 0.2138  1 N 1.03
7 H 0.0854 0.4002 0.7574  1 B 1.24
8 H 0.0945 0.9588 0.6857  1 N 1.03
9 H 0.1054 0.3107 0.1325  1 N 1.03
10 H 0.1173 0.7331 0.6032  1 N 1.02
11 H 0.1554 0.3479 0.4029  1 N 1.03
12 H 0.1555 0.6748 0.8737  1 N 1.03
13 H 0.2208 0.7342 0.2995  1 N 1.03
14 H 0.2255 0.3078 0.8042  1 N 1.03
15 N 0.1450 0.1856 0.1816  2 H 1.03
16 N 0.1552 0.8532 0.6616  2 H 1.02-1.03
17 N 0.2012 0.2405 0.3385  2 H 1.03
18 N 0.2015 0.7919 0.8241  2 H 1.03

## Properties
- Raw total energy: -344.6 eV for the cell shown
- Total moment: 0.000 μB/f.u.
- Volume: 8.66 Å³ per atom
- E_form: -0.275 eV per atom